(1)
First-principles (PBE) data for Zr2AlFe3 after structural relaxation, as listed in Materials Project.

Summary:
The polymorph energy (0 for the lowest one) comes out at 0.014 eV per atom. The value obtained for the energy is -48.48 eV for the cell shown. For the theoretical density, the calculation gives 6.98 g cm⁻³. The calculated volume comes out at 89.7 Å³ per cell. The calculation puts the formation energy at -0.37 eV per atom.

Cell: 5.038 5.038 5.038 Å, 59.66 59.66 59.66°
Atoms (fractional coordinates):
Zr: 0.121 0.121 0.121
Zr: 0.879 0.879 0.879
Al: 0.500 0.500 0.500
Fe: 0.000 0.500 0.500
Fe: 0.500 0.000 0.500
Fe: 0.500 0.500 0.000

---

(2)
First-principles (PBE) data for Cs3YO3 after structural relaxation, as listed in Materials Project.

Summary:
The polymorph energy (0 for the lowest one) comes out at 0.010 eV per atom. The value obtained for the energy is -74.45 eV for the cell shown. For the theoretical density, the calculation gives 4.52 g cm⁻³. The calculated volume comes out at 393.3 Å³ per cell. The calculation puts the formation energy at -2.18 eV per atom.

Cell: 7.634 7.634 7.686 Å, 95.76 95.76 116.54°
Atoms (fractional coordinates):
Cs: 0.211 0.789 0.000
Cs: 0.262 0.738 0.500
Cs: 0.357 0.357 0.149
Cs: 0.643 0.643 0.851
Cs: 0.738 0.262 0.500
Cs: 0.789 0.211 0.000
Y: 0.174 0.174 0.650
Y: 0.826 0.826 0.350
O: 0.101 0.101 0.357
O: 0.168 0.438 0.764
O: 0.438 0.168 0.764
O: 0.562 0.832 0.236
O: 0.832 0.562 0.236
O: 0.899 0.899 0.643

---

(3)
First-principles (PBE) data for Mn3IrN after structural relaxation, as listed in Materials Project.

Summary:
The value obtained for the energy is -45.39 eV for the cell shown. For the theoretical density, the calculation gives 10.33 g cm⁻³. The calculated volume comes out at 59.6 Å³ per cell. The calculation puts the formation energy at -0.22 eV per atom.

Cell: 3.907 3.907 3.907 Å, 90.00 90.00 90.00°
Atoms (fractional coordinates):
Mn: 0.000 0.000 0.500
Mn: 0.000 0.500 0.000
Mn: 0.500 0.000 0.000
Ir: 0.500 0.500 0.500
N: 0.000 0.000 0.000

---

(4)
First-principles (PBE) data for RbB2Se3O10 after structural relaxation, as listed in Materials Project.

Summary:
The value obtained for the energy is -382.61 eV for the cell shown. For the theoretical density, the calculation gives 3.48 g cm⁻³. The calculated volume comes out at 960.9 Å³ per cell. The calculation puts the formation energy at -1.76 eV per atom.

Cell: 4.739 12.183 16.644 Å, 90.00 90.00 90.00°
Atoms (fractional coordinates):
Rb: 0.004 0.216 0.356
Rb: 0.496 0.784 0.856
Rb: 0.504 0.284 0.644
Rb: 0.996 0.716 0.144
B: 0.045 0.032 0.587
B: 0.045 0.843 0.656
B: 0.455 0.157 0.156
B: 0.455 0.968 0.087
B: 0.545 0.468 0.413
B: 0.545 0.657 0.344
B: 0.955 0.343 0.844
B: 0.955 0.532 0.913
Se: 0.022 0.028 0.761
Se: 0.047 0.759 0.404
Se: 0.050 0.486 0.508
Se: 0.450 0.514 0.008
Se: 0.453 0.241 0.904
Se: 0.478 0.972 0.261
Se: 0.522 0.472 0.239
Se: 0.547 0.741 0.596
Se: 0.550 0.014 0.492
Se: 0.950 0.986 0.992
Se: 0.953 0.259 0.096
Se: 0.978 0.528 0.739
O: 0.013 0.911 0.911
O: 0.015 0.395 0.099
O: 0.019 0.914 0.589
O: 0.038 0.588 0.834
O: 0.046 0.388 0.765
O: 0.117 0.969 0.269
O: 0.123 0.240 0.856
O: 0.141 0.583 0.975
O: 0.156 0.199 0.174
O: 0.166 0.927 0.070
O: 0.334 0.073 0.570
O: 0.344 0.801 0.674
O: 0.359 0.417 0.475
O: 0.377 0.760 0.356
O: 0.383 0.031 0.769
O: 0.454 0.612 0.265
O: 0.462 0.412 0.334
O: 0.481 0.086 0.089
O: 0.485 0.605 0.599
O: 0.487 0.089 0.411
O: 0.513 0.589 0.089
O: 0.515 0.105 0.901
O: 0.519 0.586 0.411
O: 0.538 0.912 0.166
O: 0.546 0.112 0.235
O: 0.617 0.531 0.731
O: 0.623 0.260 0.144
O: 0.641 0.917 0.025
O: 0.656 0.301 0.826
O: 0.666 0.573 0.930
O: 0.834 0.427 0.430
O: 0.844 0.699 0.326
O: 0.859 0.083 0.525
O: 0.877 0.740 0.644
O: 0.883 0.469 0.231
O: 0.954 0.888 0.735
O: 0.962 0.088 0.666
O: 0.981 0.414 0.911
O: 0.985 0.895 0.401
O: 0.987 0.411 0.589

---

(5)
First-principles (PBE) data for Ca2MgP2O10 after structural relaxation, as listed in Materials Project.

Summary:
The value obtained for the energy is -97.72 eV for the cell shown. For the theoretical density, the calculation gives 2.83 g cm⁻³. The calculated volume comes out at 191.8 Å³ per cell. The calculation puts the formation energy at -2.58 eV per atom.

Cell: 5.288 6.133 6.911 Å, 107.42 91.24 114.51°
Atoms (fractional coordinates):
Ca: 0.106 0.294 0.232
Ca: 0.894 0.706 0.768
Mg: 0.500 0.000 0.500
P: 0.181 0.328 0.737
P: 0.819 0.672 0.263
O: 0.061 0.752 0.440
O: 0.099 0.156 0.871
O: 0.250 0.605 0.879
O: 0.447 0.324 0.646
O: 0.457 0.153 0.274
O: 0.543 0.847 0.726
O: 0.553 0.676 0.354
O: 0.750 0.395 0.121
O: 0.901 0.844 0.129
O: 0.939 0.248 0.560

---

(6)
First-principles (PBE) data for La5C2Cl9 after structural relaxation, as listed in Materials Project.

Summary:
The value obtained for the energy is -182.13 eV for the cell shown. For the theoretical density, the calculation gives 4.30 g cm⁻³. The calculated volume comes out at 800.7 Å³ per cell. The calculation puts the formation energy at -2.30 eV per atom.

Cell: 8.704 8.755 12.028 Å, 84.99 85.67 61.35°
Atoms (fractional coordinates):
La: 0.104 0.203 0.007
La: 0.126 0.768 0.270
La: 0.206 0.181 0.493
La: 0.233 0.419 0.743
La: 0.389 0.902 0.782
La: 0.611 0.098 0.218
La: 0.767 0.581 0.257
La: 0.794 0.819 0.507
La: 0.874 0.232 0.730
La: 0.896 0.797 0.993
C: 0.144 0.195 0.812
C: 0.174 0.185 0.689
C: 0.826 0.815 0.311
C: 0.856 0.805 0.188
Cl: 0.000 0.000 0.500
Cl: 0.081 0.837 0.769
Cl: 0.159 0.372 0.256
Cl: 0.173 0.553 0.506
Cl: 0.216 0.831 0.031
Cl: 0.220 0.460 0.979
Cl: 0.391 0.917 0.275
Cl: 0.459 0.823 0.550
Cl: 0.488 0.487 0.230
Cl: 0.500 0.000 0.000
Cl: 0.512 0.513 0.770
Cl: 0.541 0.177 0.450
Cl: 0.609 0.083 0.725
Cl: 0.780 0.540 0.021
Cl: 0.784 0.169 0.969
Cl: 0.827 0.447 0.494
Cl: 0.841 0.628 0.744
Cl: 0.919 0.163 0.231

---

(7)
First-principles (PBE) data for NdGaGe2O7 after structural relaxation, as listed in Materials Project.

Summary:
The value obtained for the energy is -301.52 eV for the cell shown. For the theoretical density, the calculation gives 5.53 g cm⁻³. The calculated volume comes out at 565.6 Å³ per cell. The calculation puts the formation energy at -2.59 eV per atom.

Cell: 7.337 6.671 13.037 Å, 90.00 117.57 90.00°
Atoms (fractional coordinates):
Nd: 0.239 0.146 0.475
Nd: 0.239 0.354 0.975
Nd: 0.761 0.646 0.025
Nd: 0.761 0.854 0.525
Ga: 0.214 0.101 0.732
Ga: 0.214 0.399 0.232
Ga: 0.786 0.601 0.768
Ga: 0.786 0.899 0.268
Ge: 0.214 0.658 0.456
Ge: 0.214 0.842 0.956
Ge: 0.299 0.589 0.720
Ge: 0.299 0.911 0.220
Ge: 0.701 0.089 0.780
Ge: 0.701 0.411 0.280
Ge: 0.786 0.158 0.044
Ge: 0.786 0.342 0.544
O: 0.009 0.662 0.921
O: 0.009 0.838 0.421
O: 0.153 0.687 0.185
O: 0.153 0.813 0.685
O: 0.208 0.051 0.872
O: 0.208 0.449 0.372
O: 0.219 0.109 0.279
O: 0.219 0.391 0.779
O: 0.251 0.502 0.577
O: 0.251 0.998 0.077
O: 0.409 0.674 0.981
O: 0.409 0.826 0.481
O: 0.432 0.125 0.694
O: 0.432 0.375 0.194
O: 0.568 0.625 0.806
O: 0.568 0.875 0.306
O: 0.591 0.174 0.519
O: 0.591 0.326 0.019
O: 0.749 0.002 0.923
O: 0.749 0.498 0.423
O: 0.781 0.609 0.221
O: 0.781 0.891 0.721
O: 0.792 0.551 0.628
O: 0.792 0.949 0.128
O: 0.847 0.187 0.315
O: 0.847 0.313 0.815
O: 0.991 0.162 0.579
O: 0.991 0.338 0.079

---

(8)
First-principles (PBE) data for UH12S2O15 after structural relaxation, as listed in Materials Project.

Summary:
The value obtained for the energy is -352.36 eV for the cell shown. For the theoretical density, the calculation gives 2.86 g cm⁻³. The calculated volume comes out at 643.3 Å³ per cell. The calculation puts the formation energy at -1.73 eV per atom.

Cell: 6.958 6.958 14.851 Å, 102.75 102.75 68.18°
Atoms (fractional coordinates):
U: 0.229 0.771 0.750
U: 0.771 0.229 0.250
H: 0.005 0.760 0.441
H: 0.129 0.304 0.085
H: 0.192 0.208 0.983
H: 0.208 0.192 0.483
H: 0.222 0.530 0.406
H: 0.240 0.995 0.059
H: 0.263 0.728 0.479
H: 0.272 0.737 0.021
H: 0.304 0.129 0.585
H: 0.320 0.544 0.217
H: 0.456 0.680 0.283
H: 0.470 0.778 0.094
H: 0.530 0.222 0.906
H: 0.544 0.320 0.717
H: 0.680 0.456 0.783
H: 0.696 0.871 0.415
H: 0.728 0.263 0.979
H: 0.737 0.272 0.521
H: 0.760 0.005 0.941
H: 0.778 0.470 0.594
H: 0.792 0.808 0.517
H: 0.808 0.792 0.017
H: 0.871 0.696 0.915
H: 0.995 0.240 0.559
S: 0.113 0.344 0.811
S: 0.344 0.113 0.311
S: 0.656 0.887 0.689
S: 0.887 0.656 0.189
O: 0.089 0.542 0.154
O: 0.111 0.140 0.753
O: 0.140 0.111 0.253
O: 0.141 0.180 0.035
O: 0.143 0.468 0.748
O: 0.171 0.689 0.424
O: 0.180 0.141 0.535
O: 0.188 0.727 0.624
O: 0.273 0.812 0.876
O: 0.284 0.312 0.893
O: 0.311 0.829 0.076
O: 0.312 0.284 0.393
O: 0.458 0.911 0.346
O: 0.462 0.538 0.250
O: 0.468 0.143 0.248
O: 0.532 0.857 0.752
O: 0.538 0.462 0.750
O: 0.542 0.089 0.654
O: 0.688 0.716 0.607
O: 0.689 0.171 0.924
O: 0.716 0.688 0.107
O: 0.727 0.188 0.124
O: 0.812 0.273 0.376
O: 0.820 0.859 0.465
O: 0.829 0.311 0.576
O: 0.857 0.532 0.252
O: 0.859 0.820 0.965
O: 0.860 0.889 0.747
O: 0.889 0.860 0.247
O: 0.911 0.458 0.846

---

(9)
First-principles (PBE) data for TmCu2Si2 after structural relaxation, as listed in Materials Project.

Summary:
The value obtained for the energy is -52.76 eV for the cell shown. For the theoretical density, the calculation gives 7.57 g cm⁻³. The calculated volume comes out at 154.5 Å³ per cell. The calculation puts the formation energy at -0.54 eV per atom.

Cell: 3.930 3.930 10.000 Å, 90.00 90.00 90.00°
Atoms (fractional coordinates):
Tm: 0.000 0.000 0.000
Tm: 0.500 0.500 0.500
Cu: 0.000 0.500 0.250
Cu: 0.000 0.500 0.750
Cu: 0.500 0.000 0.250
Cu: 0.500 0.000 0.750
Si: 0.000 0.000 0.384
Si: 0.000 0.000 0.616
Si: 0.500 0.500 0.116
Si: 0.500 0.500 0.884

---

(10)
First-principles (PBE) data for BaScIr after structural relaxation, as listed in Materials Project.

Summary:
The value obtained for the energy is -57.54 eV for the cell shown. For the theoretical density, the calculation gives 7.79 g cm⁻³. The calculated volume comes out at 319.2 Å³ per cell. The calculation puts the formation energy at 0.90 eV per atom.

Cell: 6.834 6.834 6.834 Å, 90.00 90.00 90.00°
Atoms (fractional coordinates):
Ba: 0.000 0.000 0.000
Ba: 0.000 0.500 0.500
Ba: 0.500 0.000 0.500
Ba: 0.500 0.500 0.000
Sc: 0.250 0.250 0.250
Sc: 0.250 0.750 0.750
Sc: 0.750 0.250 0.750
Sc: 0.750 0.750 0.250
Ir: 0.250 0.250 0.750
Ir: 0.250 0.750 0.250
Ir: 0.750 0.250 0.250
Ir: 0.750 0.750 0.750

---

(11)
First-principles (PBE) data for KCN after structural relaxation, as listed in Materials Project.

Summary:
The polymorph energy (0 for the lowest one) comes out at 0.000 eV per atom. The value obtained for the energy is -77.91 eV for the cell shown. For the theoretical density, the calculation gives 1.51 g cm⁻³. The calculated volume comes out at 286.3 Å³ per cell. The calculation puts the formation energy at -0.39 eV per atom.

Cell: 4.602 7.821 8.436 Å, 70.93 87.71 86.07°
Atoms (fractional coordinates):
K: 0.000 0.000 0.000
K: 0.085 0.539 0.502
K: 0.504 0.494 0.018
K: 0.590 0.035 0.521
C: 0.114 0.815 0.712
C: 0.486 0.754 0.210
C: 0.622 0.315 0.714
C: 0.989 0.249 0.213
N: 0.110 0.282 0.319
N: 0.477 0.215 0.817
N: 0.609 0.784 0.317
N: 0.967 0.716 0.815

---

(12)
First-principles (PBE) data for Sc3InB after structural relaxation, as listed in Materials Project.

Summary:
The value obtained for the energy is -30.42 eV for the cell shown. For the theoretical density, the calculation gives 4.20 g cm⁻³. The calculated volume comes out at 103.1 Å³ per cell. The calculation puts the formation energy at -0.40 eV per atom.

Cell: 4.689 4.689 4.689 Å, 90.00 90.00 90.00°
Atoms (fractional coordinates):
Sc: 0.000 0.000 0.500
Sc: 0.000 0.500 0.000
Sc: 0.500 0.000 0.000
In: 0.500 0.500 0.500
B: 0.000 0.000 0.000